## Mg14NbCrO16 (r²SCAN)

Data for a relaxed structure of Mg14NbCrO16.

Summary:
Its total magnetization is 7.00 μB per formula unit. The calculated formation energy is -2746 meV per atom. Its space group is P4/mmm, No. 123. As for the calculated total energy: -8.8006 eV per atom.

CIF file:
```
data_Mg14NbCrO16
_chemical_formula_sum 'Mg14 Nb1 Cr1 O16'
_cell_length_a 8.5114
_cell_length_b 8.5114
_cell_length_c 4.2726
_cell_angle_alpha 90.00
_cell_angle_beta 90.00
_cell_angle_gamma 90.00
_space_group_name_H-M_alt 'P 1'
_space_group_IT_number 1
loop_
_space_group_symop_operation_xyz
'x,y,z'
loop_
_atom_site_label
_atom_site_type_symbol
_atom_site_fract_x
_atom_site_fract_y
_atom_site_fract_z
Mg1 Mg 0.0000 0.2503 0.0000
Mg2 Mg 0.0000 0.5000 0.5000
Mg3 Mg 0.0000 0.7497 0.0000
Mg4 Mg 0.2438 0.5000 0.0000
Mg5 Mg 0.2471 0.2471 0.5000
Mg6 Mg 0.2471 0.7529 0.5000
Mg7 Mg 0.2503 0.0000 0.0000
Mg8 Mg 0.5000 0.0000 0.5000
Mg9 Mg 0.5000 0.2438 0.0000
Mg10 Mg 0.5000 0.7562 0.0000
Mg11 Mg 0.7497 0.0000 0.0000
Mg12 Mg 0.7529 0.2471 0.5000
Mg13 Mg 0.7529 0.7529 0.5000
Mg14 Mg 0.7562 0.5000 0.0000
Nb1 Nb 0.5000 0.5000 0.5000
Cr1 Cr 0.0000 0.0000 0.5000
O1 O 0.0000 0.0000 0.0000
O2 O 0.0000 0.2571 0.5000
O3 O 0.0000 0.5000 0.0000
O4 O 0.0000 0.7429 0.5000
O5 O 0.2382 0.5000 0.5000
O6 O 0.2500 0.2500 0.0000
O7 O 0.2500 0.7500 0.0000
O8 O 0.2571 0.0000 0.5000
O9 O 0.5000 0.0000 0.0000
O10 O 0.5000 0.2382 0.5000
O11 O 0.5000 0.5000 0.0000
O12 O 0.5000 0.7618 0.5000
O13 O 0.7429 0.0000 0.5000
O14 O 0.7500 0.2500 0.0000
O15 O 0.7500 0.7500 0.0000
O16 O 0.7618 0.5000 0.5000
```

***

## PaTlAu2 (r²SCAN)

Data for a relaxed structure of PaTlAu2.

Summary:
Its total magnetization is 0.01 μB per formula unit. The calculated formation energy is -312 meV per atom. Its space group is Fm-3m, No. 225. As for the calculated total energy: -58.1137 eV per atom.

CIF file:
```
data_PaTlAu2
_chemical_formula_sum 'Pa1 Tl1 Au2'
_cell_length_a 4.9876
_cell_length_b 4.9876
_cell_length_c 4.9876
_cell_angle_alpha 60.00
_cell_angle_beta 60.00
_cell_angle_gamma 60.00
_space_group_name_H-M_alt 'P 1'
_space_group_IT_number 1
loop_
_space_group_symop_operation_xyz
'x,y,z'
loop_
_atom_site_label
_atom_site_type_symbol
_atom_site_fract_x
_atom_site_fract_y
_atom_site_fract_z
Pa1 Pa 0.0000 0.0000 0.0000
Tl1 Tl 0.5000 0.5000 0.5000
Au1 Au 0.2500 0.2500 0.2500
Au2 Au 0.7500 0.7500 0.7500
```

***

## K4P2O7 (r²SCAN)

Data for a relaxed structure of K4P2O7.

Summary:
Its total magnetization is 0.00 μB per formula unit. The calculated formation energy is -2446 meV per atom. Its space group is P6_3/mmc, No. 194. As for the calculated total energy: -8.8986 eV per atom.

CIF file:
```
data_K4P2O7
_chemical_formula_sum 'K8 P4 O14'
_cell_length_a 5.9041
_cell_length_b 5.9041
_cell_length_c 14.8600
_cell_angle_alpha 90.00
_cell_angle_beta 90.00
_cell_angle_gamma 120.00
_space_group_name_H-M_alt 'P 1'
_space_group_IT_number 1
loop_
_space_group_symop_operation_xyz
'x,y,z'
loop_
_atom_site_label
_atom_site_type_symbol
_atom_site_fract_x
_atom_site_fract_y
_atom_site_fract_z
K1 K 0.0000 0.0000 0.0000
K2 K 0.0000 0.0000 0.2500
K3 K 0.0000 0.0000 0.5000
K4 K 0.0000 0.0000 0.7500
K5 K 0.3333 0.6667 0.0797
K6 K 0.3333 0.6667 0.4203
K7 K 0.6667 0.3333 0.5797
K8 K 0.6667 0.3333 0.9203
P1 P 0.3333 0.6667 0.6423
P2 P 0.3333 0.6667 0.8577
P3 P 0.6667 0.3333 0.1423
P4 P 0.6667 0.3333 0.3577
O1 O 0.1908 0.3817 0.6139
O2 O 0.1908 0.3817 0.8861
O3 O 0.1908 0.8092 0.6139
O4 O 0.1908 0.8092 0.8861
O5 O 0.3333 0.6667 0.7500
O6 O 0.3817 0.1908 0.1139
O7 O 0.3817 0.1908 0.3861
O8 O 0.6183 0.8092 0.6139
O9 O 0.6183 0.8092 0.8861
O10 O 0.6667 0.3333 0.2500
O11 O 0.8092 0.1908 0.1139
O12 O 0.8092 0.1908 0.3861
O13 O 0.8092 0.6183 0.1139
O14 O 0.8092 0.6183 0.3861
```

***

## YbP3H6O6 (r²SCAN)

Data for a relaxed structure of YbP3H6O6.

Summary:
Its total magnetization is 0.00 μB per formula unit. The calculated formation energy is -1637 meV per atom. Its space group is C2/m, No. 12. As for the calculated total energy: -9.1437 eV per atom.

CIF file:
```
data_YbP3H6O6
_chemical_formula_sum 'Yb2 P6 H12 O12'
_cell_length_a 7.5634
_cell_length_b 7.5634
_cell_length_c 11.9481
_cell_angle_alpha 119.68
_cell_angle_beta 119.68
_cell_angle_gamma 43.90
_space_group_name_H-M_alt 'P 1'
_space_group_IT_number 1
loop_
_space_group_symop_operation_xyz
'x,y,z'
loop_
_atom_site_label
_atom_site_type_symbol
_atom_site_fract_x
_atom_site_fract_y
_atom_site_fract_z
Yb1 Yb 0.0000 0.0000 0.0000
Yb2 Yb 0.0000 0.0000 0.5000
P1 P 0.1673 0.1673 0.8569
P2 P 0.3187 0.3187 0.4084
P3 P 0.4115 0.4115 0.7829
P4 P 0.5885 0.5885 0.2171
P5 P 0.6813 0.6813 0.5916
P6 P 0.8327 0.8327 0.1431
H1 H 0.0418 0.4333 0.8832
H2 H 0.2137 0.2137 0.3962
H3 H 0.2931 0.2931 0.2776
H4 H 0.3172 0.3172 0.6533
H5 H 0.4333 0.0418 0.8832
H6 H 0.4953 0.4953 0.2315
H7 H 0.5047 0.5047 0.7685
H8 H 0.5667 0.9582 0.1168
H9 H 0.6828 0.6828 0.3467
H10 H 0.7069 0.7069 0.7224
H11 H 0.7863 0.7863 0.6038
H12 H 0.9582 0.5667 0.1168
O1 O 0.0744 0.0744 0.7128
O2 O 0.1314 0.1314 0.9557
O3 O 0.1523 0.6062 0.4750
O4 O 0.1841 0.6374 0.8490
O5 O 0.3626 0.8159 0.1510
O6 O 0.3938 0.8477 0.5250
O7 O 0.6062 0.1523 0.4750
O8 O 0.6374 0.1841 0.8490
O9 O 0.8159 0.3626 0.1510
O10 O 0.8477 0.3938 0.5250
O11 O 0.8686 0.8686 0.0443
O12 O 0.9256 0.9256 0.2872
```

***

## K2LuF5 (r²SCAN)

Data for a relaxed structure of K2LuF5.

Summary:
Its total magnetization is 0.00 μB per formula unit. The calculated formation energy is -3792 meV per atom. Its space group is Pnma, No. 62. As for the calculated total energy: -12.0106 eV per atom.

CIF file:
```
data_K2LuF5
_chemical_formula_sum 'K8 Lu4 F20'
_cell_length_a 10.6634
_cell_length_b 7.0584
_cell_length_c 6.5006
_cell_angle_alpha 90.00
_cell_angle_beta 90.00
_cell_angle_gamma 90.00
_space_group_name_H-M_alt 'P 1'
_space_group_IT_number 1
loop_
_space_group_symop_operation_xyz
'x,y,z'
loop_
_atom_site_label
_atom_site_type_symbol
_atom_site_fract_x
_atom_site_fract_y
_atom_site_fract_z
K1 K 0.1707 0.0030 0.0381
K2 K 0.1707 0.4970 0.0381
K3 K 0.3293 0.5030 0.5381
K4 K 0.3293 0.9970 0.5381
K5 K 0.6707 0.0030 0.4619
K6 K 0.6707 0.4970 0.4619
K7 K 0.8293 0.5030 0.9619
K8 K 0.8293 0.9970 0.9619
Lu1 Lu 0.0025 0.2500 0.5638
Lu2 Lu 0.4975 0.7500 0.0638
Lu3 Lu 0.5025 0.2500 0.9362
Lu4 Lu 0.9975 0.7500 0.4362
F1 F 0.0140 0.2500 0.8893
F2 F 0.0726 0.5366 0.6480
F3 F 0.0726 0.9634 0.6480
F4 F 0.1653 0.2500 0.3770
F5 F 0.1891 0.7500 0.3442
F6 F 0.3109 0.2500 0.8442
F7 F 0.3347 0.7500 0.8770
F8 F 0.4274 0.0366 0.1480
F9 F 0.4274 0.4634 0.1480
F10 F 0.4860 0.7500 0.3893
F11 F 0.5140 0.2500 0.6107
F12 F 0.5726 0.5366 0.8520
F13 F 0.5726 0.9634 0.8520
F14 F 0.6653 0.2500 0.1230
F15 F 0.6891 0.7500 0.1558
F16 F 0.8109 0.2500 0.6558
F17 F 0.8347 0.7500 0.6230
F18 F 0.9274 0.0366 0.3520
F19 F 0.9274 0.4634 0.3520
F20 F 0.9860 0.7500 0.1107
```

***

## Pr2Pd2Pb (r²SCAN)

Data for a relaxed structure of Pr2Pd2Pb.

Summary:
Its total magnetization is 0.00 μB per formula unit. The calculated formation energy is -845 meV per atom. Its space group is P4/mbm, No. 127. As for the calculated total energy: -33.0483 eV per atom.

CIF file:
```
data_Pr2Pd2Pb
_chemical_formula_sum 'Pr4 Pd4 Pb2'
_cell_length_a 8.0293
_cell_length_b 8.0293
_cell_length_c 3.8314
_cell_angle_alpha 90.00
_cell_angle_beta 90.00
_cell_angle_gamma 90.00
_space_group_name_H-M_alt 'P 1'
_space_group_IT_number 1
loop_
_space_group_symop_operation_xyz
'x,y,z'
loop_
_atom_site_label
_atom_site_type_symbol
_atom_site_fract_x
_atom_site_fract_y
_atom_site_fract_z
Pr1 Pr 0.1767 0.3233 0.0000
Pr2 Pr 0.3233 0.8233 0.0000
Pr3 Pr 0.6767 0.1767 0.0000
Pr4 Pr 0.8233 0.6767 0.0000
Pd1 Pd 0.1224 0.6224 0.5000
Pd2 Pd 0.3776 0.1224 0.5000
Pd3 Pd 0.6224 0.8776 0.5000
Pd4 Pd 0.8776 0.3776 0.5000
Pb1 Pb 0.0000 0.0000 0.5000
Pb2 Pb 0.5000 0.5000 0.5000
```